Crystalline Sm5Mg at its relaxed geometry, computed with PBE.

Output
symmetry: R32
formation enthalpy at 0 K: 0.01 eV per atom
energy above the lowest structure with this stoichiometry: 0 meV per atom

Unit cell a=6.739 b=6.739 c=6.739 alpha=55.30 beta=55.30 gamma=55.30
Positions (direct):
Mg  0.000  0.000  0.000
Sm  0.667  0.667  0.667
Sm  0.846  0.500  0.154
Sm  0.154  0.846  0.500
Sm  0.333  0.333  0.333
Sm  0.500  0.154  0.846